1.
An optimized crystal structure of Ca2Fe6Se9Cl4O27. Source: the Materials Project database, functional GGA+U.

## Properties
- energy relative to the elements (eV/atom) = -1.219
- crystal system = hexagonal
- E (eV per atom) = -5.2861

a = 12.3245 Å, b = 12.3245 Å, c = 12.9619 Å
α = 90.00°, β = 90.00°, γ = 120.00°
Space group P6_3/m (No. 176)
Unique sites:
Ca (0.3333, 0.6667, 0.1151)
Fe (0.0000, 0.5000, 0.0000)
Fe (0.1066, 0.4153, 0.7500)
Se (0.0310, 0.4446, 0.2500)
Se (0.1709, 0.8067, 0.5095)
Cl (0.0726, 0.7819, 0.2500)
Cl (0.3333, 0.6667, 0.7500)
O (0.0351, 0.5004, 0.6549)
O (0.0884, 0.4074, 0.0382)
O (0.1653, 0.6662, 0.0217)
O (0.1835, 0.5570, 0.2500)
O (0.1882, 0.8089, 0.6402)

2.
An optimized crystal structure of LiCo2S3O12. Source: the Materials Project database, functional GGA+U.

## Properties
- energy relative to the elements (eV/atom) = -1.763
- excess energy over the best structure of this formula in the dataset (meV/atom) = 26
- crystal system = trigonal
- E (eV per atom) = -6.0072

a = 8.6012 Å, b = 8.6012 Å, c = 21.1016 Å
α = 90.00°, β = 90.00°, γ = 120.00°
Space group R-3c (No. 167, hexagonal axes)
Unique sites:
Li (0.0000, 0.0000, 0.0000)
Co (0.0000, 0.0000, 0.1439)
S (0.0000, 0.2947, 0.2500)
O (0.0015, 0.2006, 0.3081)
O (0.0192, 0.1897, 0.9205)

3.
An optimized crystal structure of MgVSbO4. Source: the Materials Project database, functional GGA+U.

## Properties
- energy relative to the elements (eV/atom) = -1.986
- excess energy over the best structure of this formula in the dataset (meV/atom) = 93
- crystal system = monoclinic
- E (eV per atom) = -6.2943

a = 5.1793 Å, b = 3.1260 Å, c = 5.5800 Å
α = 90.00°, β = 93.74°, γ = 90.00°
Space group P2 (No. 3)
Unique sites:
Mg (0.0000, 0.0000, 0.0000)
V (0.5000, 0.5311, 0.0000)
Sb (0.0000, 0.1899, 0.5000)
O (0.1694, 0.5162, 0.2169)
O (0.3188, 0.0452, 0.8122)

4.
An optimized crystal structure of Co2TcO4. Source: the Materials Project database, functional GGA+U.

## Properties
- energy relative to the elements (eV/atom) = -1.489
- crystal system = monoclinic
- E (eV per atom) = -6.9665

a = 10.5718 Å, b = 6.1748 Å, c = 5.7536 Å
α = 90.00°, β = 122.89°, γ = 90.00°
Space group C2/m (No. 12)
Unique sites:
Co (0.1340, 0.0000, 0.3843)
Co (0.2500, 0.2500, 0.0000)
Tc (0.0000, 0.5000, 0.0000)
Tc (0.0000, 0.5000, 0.5000)
O (0.0017, 0.2589, 0.7512)
O (0.2264, 0.5000, 0.2123)
O (0.2262, 0.5000, 0.7404)

5.
An optimized crystal structure of SrCaCo2O5. Source: the Materials Project database, functional GGA+U.

## Properties
- energy relative to the elements (eV/atom) = -2.142
- crystal system = triclinic
- E (eV per atom) = -6.1354

a = 10.7635 Å, b = 11.1597 Å, c = 17.3364 Å
α = 71.25°, β = 71.94°, γ = 89.99°
Space group P1 (No. 1)
Unique sites:
Sr (0.0000, 0.0000, 0.0000)
Sr (0.0005, 0.4965, 0.0021)
Sr (0.1368, 0.1356, 0.2255)
Sr (0.1368, 0.6357, 0.7213)
Sr (0.2485, 0.2584, 0.0013)
Sr (0.3836, 0.8978, 0.2258)
Sr (0.3898, 0.8982, 0.7234)
Sr (0.4954, 0.9964, 0.0009)
Sr (0.4987, 0.4987, 0.0014)
Sr (0.6353, 0.6320, 0.2264)
Sr (0.6370, 0.1377, 0.2265)
Sr (0.6396, 0.1377, 0.7208)
Sr (0.7487, 0.2604, 0.0006)
Sr (0.7493, 0.7603, 0.0019)
Sr (0.8880, 0.8983, 0.2260)
Sr (0.8875, 0.9011, 0.7214)
Ca (0.0028, 0.4948, 0.5016)
Ca (0.1398, 0.6313, 0.2211)
Ca (0.1463, 0.1364, 0.7183)
Ca (0.2472, 0.7609, 0.0074)
Ca (0.2475, 0.7656, 0.5027)
Ca (0.2534, 0.2662, 0.5000)
Ca (0.3902, 0.4059, 0.2209)
Ca (0.3915, 0.4037, 0.7192)
Ca (0.5003, 0.4891, 0.5042)
Ca (0.5046, 0.9904, 0.5032)
Ca (0.6401, 0.6360, 0.7174)
Ca (0.7500, 0.7685, 0.5026)
Ca (0.7546, 0.2642, 0.5005)
Ca (0.8920, 0.4048, 0.2208)
Ca (0.8938, 0.4098, 0.7178)
Ca (0.9991, 0.9922, 0.5017)
Co (0.0845, 0.7870, 0.3639)
Co (0.0873, 0.2932, 0.8586)
Co (0.0871, 0.2961, 0.3640)
Co (0.0880, 0.7959, 0.8626)
Co (0.1899, 0.9455, 0.1147)
Co (0.1911, 0.4476, 0.1143)
Co (0.1927, 0.4492, 0.6076)
Co (0.1945, 0.9532, 0.6061)
Co (0.3316, 0.6000, 0.3665)
Co (0.3334, 0.1059, 0.8605)
Co (0.3354, 0.1080, 0.3640)
Co (0.3374, 0.6023, 0.8609)
Co (0.4404, 0.1994, 0.1152)
Co (0.4396, 0.6974, 0.1132)
Co (0.4445, 0.2017, 0.6054)
Co (0.4450, 0.7006, 0.6061)
Co (0.5820, 0.7910, 0.8600)
Co (0.5847, 0.7862, 0.3673)
Co (0.5860, 0.2906, 0.3655)
Co (0.5867, 0.2995, 0.8588)
Co (0.6898, 0.9479, 0.1155)
Co (0.6907, 0.4471, 0.1145)
Co (0.6931, 0.4514, 0.6077)
Co (0.6942, 0.9520, 0.6062)
Co (0.8330, 0.6031, 0.8602)
Co (0.8369, 0.1085, 0.3637)
Co (0.8384, 0.5986, 0.3653)
Co (0.8412, 0.1126, 0.8553)
Co (0.9405, 0.1980, 0.1152)
Co (0.9410, 0.7019, 0.6062)
Co (0.9434, 0.2027, 0.6082)
Co (0.9426, 0.6976, 0.1129)
O (0.0023, 0.3063, 0.4706)
O (0.0059, 0.7916, 0.9722)
O (0.0088, 0.6424, 0.8603)
O (0.0101, 0.2851, 0.9704)
O (0.0115, 0.1342, 0.3707)
O (0.0191, 0.6267, 0.3638)
O (0.0217, 0.1369, 0.8524)
O (0.0605, 0.3189, 0.1244)
O (0.0604, 0.8176, 0.6143)
O (0.0634, 0.8109, 0.1224)
O (0.0672, 0.3255, 0.6222)
O (0.0699, 0.0755, 0.1067)
O (0.0741, 0.0926, 0.5979)
O (0.0755, 0.5785, 0.1051)
O (0.0746, 0.5837, 0.5930)
O (0.1005, 0.4073, 0.7542)
O (0.1109, 0.4039, 0.2554)
O (0.1169, 0.8956, 0.2548)
O (0.1186, 0.9083, 0.7537)
O (0.2462, 0.4809, 0.4713)
O (0.2455, 0.9903, 0.4671)
O (0.2570, 0.9944, 0.9703)
O (0.2593, 0.7571, 0.3716)
O (0.2606, 0.4941, 0.9700)
O (0.2628, 0.7574, 0.8690)
O (0.2675, 0.2693, 0.3628)
O (0.2681, 0.2690, 0.8536)
O (0.3088, 0.8142, 0.1228)
O (0.3095, 0.3171, 0.6265)
O (0.3124, 0.3236, 0.1240)
O (0.3178, 0.8159, 0.6157)
O (0.3186, 0.5698, 0.5979)
O (0.3190, 0.5777, 0.1071)
O (0.3216, 0.0768, 0.1065)
O (0.3286, 0.0850, 0.5970)
O (0.3579, 0.0991, 0.7537)
O (0.3588, 0.5981, 0.2585)
O (0.3599, 0.5964, 0.7527)
O (0.3679, 0.1105, 0.2542)
O (0.4959, 0.7891, 0.9689)
O (0.4985, 0.3039, 0.4711)
O (0.4985, 0.8004, 0.4718)
O (0.5076, 0.6271, 0.3724)
O (0.5095, 0.1433, 0.8598)
O (0.5106, 0.1291, 0.3728)
O (0.5119, 0.2881, 0.9707)
O (0.5194, 0.6345, 0.8524)
O (0.5577, 0.3144, 0.6184)
O (0.5601, 0.3183, 0.1234)
O (0.5605, 0.8178, 0.1198)
O (0.5660, 0.5833, 0.5989)
O (0.5671, 0.8165, 0.6211)
O (0.5688, 0.5765, 0.1078)
O (0.5741, 0.0708, 0.1084)
O (0.5784, 0.0806, 0.5938)
O (0.6071, 0.3948, 0.2572)
O (0.6070, 0.4108, 0.7502)
O (0.6144, 0.9070, 0.7535)
O (0.6149, 0.8947, 0.2572)
O (0.7464, 0.9877, 0.4647)
O (0.7504, 0.4849, 0.4726)
O (0.7577, 0.4968, 0.9700)
O (0.7580, 0.7588, 0.8615)
O (0.7590, 0.0050, 0.9653)
O (0.7610, 0.7543, 0.3713)
O (0.7677, 0.2685, 0.3633)
O (0.7691, 0.2727, 0.8514)
O (0.8090, 0.8272, 0.1195)
O (0.8100, 0.8243, 0.6181)
O (0.8137, 0.3219, 0.1237)
O (0.8206, 0.0783, 0.1064)
O (0.8217, 0.3231, 0.6186)
O (0.8227, 0.5748, 0.1090)
O (0.8245, 0.5865, 0.5989)
O (0.8274, 0.0818, 0.5902)
O (0.8587, 0.5994, 0.7513)
O (0.8658, 0.1071, 0.7474)
O (0.8666, 0.5975, 0.2573)
O (0.8692, 0.1074, 0.2545)
O (0.9929, 0.8047, 0.4673)

6.
An optimized crystal structure of Li9Mn2Co5O16. Source: the Materials Project database, functional GGA+U.

## Properties
- energy relative to the elements (eV/atom) = -1.748
- excess energy over the best structure of this formula in the dataset (meV/atom) = 116
- crystal system = monoclinic
- E (eV per atom) = -5.7384

a = 17.0564 Å, b = 5.7823 Å, c = 5.8747 Å
α = 90.00°, β = 90.14°, γ = 90.00°
Space group C2/m (No. 12)
Unique sites:
Li (0.0000, 0.0000, 0.0000)
Li (0.0000, 0.0000, 0.5000)
Li (0.0000, 0.5000, 0.0000)
Li (0.1195, 0.2469, 0.2533)
Li (0.2482, 0.0000, 0.5007)
Mn (0.2482, 0.0000, 0.0015)
Co (0.0000, 0.5000, 0.5000)
Co (0.1183, 0.2465, 0.7442)
O (0.0035, 0.2681, 0.7323)
O (0.1132, 0.5000, 0.5023)
O (0.1267, 0.0000, 0.9931)
O (0.1286, 0.0000, 0.5247)
O (0.1302, 0.5000, 0.9714)
O (0.2490, 0.2507, 0.2266)

7.
An optimized crystal structure of Na2BiWO6. Source: the Materials Project database, functional GGA+U.

## Properties
- energy relative to the elements (eV/atom) = -1.875
- crystal system = cubic
- E (eV per atom) = -5.9368

a = 8.3034 Å, b = 8.3034 Å, c = 8.3034 Å
α = 90.00°, β = 90.00°, γ = 90.00°
Space group Fm-3m (No. 225)
Unique sites:
Na (0.2500, 0.2500, 0.2500)
Bi (0.0000, 0.0000, 0.0000)
W (0.0000, 0.0000, 0.5000)
O (0.0000, 0.0000, 0.2663)

8.
An optimized crystal structure of Li5Co3O8. Source: the Materials Project database, functional GGA+U.

## Properties
- energy relative to the elements (eV/atom) = -1.689
- excess energy over the best structure of this formula in the dataset (meV/atom) = 45
- crystal system = monoclinic
- E (eV per atom) = -5.4414

a = 10.0188 Å, b = 5.7600 Å, c = 5.0391 Å
α = 90.00°, β = 109.39°, γ = 90.00°
Space group C2/m (No. 12)
Unique sites:
Li (0.0000, 0.0000, 0.0000)
Li (0.0000, 0.2449, 0.5000)
Li (0.2493, 0.0000, 0.5005)
Co (0.0000, 0.5000, 0.0000)
Co (0.2500, 0.2500, 0.0000)
O (0.1198, 0.5000, 0.7679)
O (0.1210, 0.2688, 0.2208)
O (0.1384, 0.0000, 0.7723)

9.
An optimized crystal structure of CsAlNiF6. Source: the Materials Project database, functional GGA+U.

## Properties
- energy relative to the elements (eV/atom) = -3.232
- crystal system = orthorhombic
- E (eV per atom) = -5.0763

a = 7.1488 Å, b = 7.3364 Å, c = 10.2232 Å
α = 90.00°, β = 90.00°, γ = 90.00°
Space group Imma (No. 74)
Unique sites:
Cs (0.0000, 0.2500, 0.1255)
Al (0.2500, 0.2500, 0.7500)
Ni (0.0000, 0.0000, 0.5000)
F (0.0000, 0.2500, 0.4193)
F (0.0000, 0.2500, 0.7996)
F (0.2067, 0.0724, 0.6290)